# Li3BN2 PBE relaxed
data_Li3BN2
_symmetry_space_group_name_H-M 'P 42/m n m'
_symmetry_Int_Tables_number 136
_symmetry_space_group_name_Hall '-P 4n 2n'
_cell_length_a 4.675
_cell_length_b 4.675
_cell_length_c 5.240
_cell_angle_alpha 90.00
_cell_angle_beta 90.00
_cell_angle_gamma 90.00
loop_
_atom_site_label
_atom_site_fract_x
_atom_site_fract_y
_atom_site_fract_z
_atom_site_occupancy
Li1 0.000 0.000 0.000 1
Li2 0.000 0.500 0.250 1
B1 0.000 0.000 0.500 1
N1 0.204 0.204 0.500 1
# Formation enthalpy at 0 K (eV/atom): -0.96
# Calculated volume (A^3/atom): 9.55
# Electronic total energy (eV/atom): -5.69